The following is a PBE with a Hubbard U calculation of a geometry-optimized Li4Fe2P3O12 structure, from the Materials Project.

ΔE to the lowest computed polymorph: 0.00 eV per formula unit
Energy: -6.6808 eV per atom
Space group: No. 2
E (MP2020): -7.29 eV/atom
Crystal system: triclinic
Formation energy from the elements: -242.9 kJ/mol of atoms

a = 8.3933 Å, b = 8.4093 Å, c = 9.2126 Å
α = 62.90°, β = 63.06°, γ = 60.71°
Closest atoms and distances in Å follow each position.
Fractional coordinates of all 42 atoms:
Li 0.0815 0.3376 0.3572  4 O 1.94-2.17
Li 0.2628 0.7844 0.9145  3 O 1.99-2.09
Li 0.2739 0.9338 0.6024  4 O 1.94-2.06
Li 0.3315 0.7269 0.3623  4 O 1.95-2.11
Li 0.6685 0.2731 0.6377  4 O 1.95-2.11
Li 0.7261 0.0662 0.3976  4 O 1.94-2.06
Li 0.7372 0.2156 0.0855  3 O 1.99-2.09
Li 0.9185 0.6624 0.6428  4 O 1.94-2.17
Fe 0.1490 0.1522 0.0575  6 O 1.93-2.15
Fe 0.3455 0.3539 0.4605  6 O 2.09-2.23
Fe 0.6545 0.6461 0.5395  6 O 2.09-2.23
Fe 0.8510 0.8478 0.9425  6 O 1.93-2.15
P 0.0385 0.7565 0.2568  4 O 1.54-1.56
P 0.2497 0.5444 0.7506  4 O 1.53-1.58
P 0.4626 0.0443 0.2442  4 O 1.54-1.57
P 0.5374 0.9557 0.7558  4 O 1.54-1.57
P 0.7503 0.4556 0.2494  4 O 1.53-1.58
P 0.9615 0.2435 0.7432  4 O 1.54-1.56
O 0.0051 0.8123 0.0851  1 P 1.55
O 0.1403 0.7441 0.7865  1 P 1.58
O 0.1439 0.8818 0.2302  1 P 1.56
O 0.1513 0.2005 0.5959  1 P 1.56
O 0.1621 0.5432 0.3045  1 P 1.54
O 0.1870 0.3919 0.9126  1 P 1.53
O 0.1971 0.5657 0.5992  1 P 1.56
O 0.2591 0.1538 0.2206  1 P 1.56
O 0.3821 0.9913 0.9223  1 P 1.54
O 0.4527 0.8558 0.3936  1 P 1.57
O 0.4644 0.4997 0.7001  1 P 1.53
O 0.4876 0.8338 0.7077  1 P 1.56
O 0.5124 0.1662 0.2923  1 P 1.56
O 0.5356 0.5003 0.2999  1 P 1.53
O 0.5473 0.1442 0.6064  1 P 1.57
O 0.6179 0.0087 0.0777  1 P 1.54
O 0.7409 0.8462 0.7794  1 P 1.56
O 0.8029 0.4343 0.4008  1 P 1.56
O 0.8130 0.6081 0.0874  1 P 1.53
O 0.8379 0.4568 0.6955  1 P 1.54
O 0.8487 0.7995 0.4041  1 P 1.56
O 0.8561 0.1182 0.7698  1 P 1.56
O 0.8597 0.2559 0.2135  1 P 1.58
O 0.9949 0.1877 0.9149  1 P 1.55

The following is a PBE with a Hubbard U calculation of a geometry-optimized Li9Fe4P4O20 structure, from the Materials Project.

Energy: -6.4351 eV per atom
Space group: No. 1
E (MP2020): -7.05 eV/atom
Crystal system: triclinic
Formation energy from the elements: -232.6 kJ/mol of atoms

a = 4.9133 Å, b = 5.6403 Å, c = 15.9747 Å
α = 89.65°, β = 89.96°, γ = 89.75°
Closest atoms and distances in Å follow each position.
Fractional coordinates of all 37 atoms:
Li 0.0000 0.0000 0.0000  4 O 2.03-2.20
Li 0.0001 0.0103 0.5774  3 O 2.02-2.07
Li 0.0004 0.9892 0.3885  4 O 1.96-2.17
Li 0.4928 0.3141 0.1846  3 O 1.86-2.02
Li 0.4969 0.3498 0.7846  4 O 1.89-2.09
Li 0.4983 0.8395 0.0897  4 O 1.96-2.03
Li 0.5041 0.8217 0.4903  4 O 1.95-2.00
Li 0.9918 0.5073 0.1005  3 O 1.85-2.02
Li 0.9936 0.5062 0.6824  3 O 1.88-2.08
Fe 0.0017 0.5086 0.8898  4 O 1.86-1.95
Fe 0.0047 0.0078 0.7898  4 O 1.86-1.96
Fe 0.5052 0.3296 0.3854  4 O 1.83-1.97
Fe 0.5190 0.8185 0.2909  4 O 1.94-2.12
P 0.0026 0.0008 0.1833  4 O 1.53-1.58
P 0.5066 0.3337 0.9929  4 O 1.52-1.60
P 0.5165 0.8445 0.6885  4 O 1.52-1.60
P 0.9949 0.4953 0.4934  4 O 1.54-1.57
O 0.0432 0.3659 0.5771  1 P 1.54
O 0.0501 0.8351 0.8885  2 Fe 1.86, 1 Li 2.03
O 0.0969 0.8358 0.1095  1 P 1.57
O 0.0978 0.3338 0.7933  2 Fe 1.89-1.90, 2 Li 1.97-2.08
O 0.1060 0.2514 0.1645  1 P 1.53
O 0.1055 0.7531 0.4913  1 P 1.55
O 0.1062 0.9097 0.2696  1 P 1.55
O 0.1214 0.3391 0.4219  1 P 1.57
O 0.1838 0.3514 0.9833  1 P 1.60
O 0.1915 0.8569 0.6956  1 P 1.60
O 0.5489 0.4765 0.2840  2 Fe 1.83-1.94, 1 Li 1.86
O 0.5941 0.0768 0.0042  1 P 1.52
O 0.5971 0.4972 0.0644  1 P 1.54
O 0.6015 0.0105 0.3923  2 Fe 1.86-2.00, 2 Li 1.95-1.96
O 0.6076 0.9270 0.6025  1 P 1.52
O 0.6171 0.5975 0.7136  1 P 1.53
O 0.6214 0.4294 0.9062  1 P 1.59
O 0.6234 0.0254 0.7571  1 P 1.59
O 0.6814 0.5102 0.4741  1 P 1.57
O 0.6819 0.9945 0.1852  1 P 1.58